# 1
Na15Nb2Zn10P9S9O72 after structural relaxation. Source: the Materials Project, functional GGA-PBE.

Unit cell a=8.9791 b=8.9729 c=22.1487 alpha=90.42 beta=90.11 gamma=120.12
Fractional positions:
O  0.1545  0.4506  0.9722
O  0.1662  0.6851  0.7586
Zn  0.0035  0.0048  0.8434
Na  0.3335  0.0414  0.4102
O  0.6881  0.1303  0.0275
Zn  0.9999  0.9968  0.1620
Na  0.3311  0.6814  0.6623
S  0.6710  0.6305  0.5814
Na  0.6687  0.6988  0.0892
O  0.8621  0.5471  0.0248
O  0.0331  0.2252  0.1954
Na  0.9923  0.0255  0.9976
S  0.9991  0.2985  0.2500
Zn  0.6569  0.3303  0.1876
O  0.3153  0.8661  0.9798
P  0.0382  0.3681  0.9167
S  0.6282  0.6701  0.9197
O  0.1413  0.4907  0.5802
Na  0.3265  0.2915  0.9138
Zn  0.3348  0.6630  0.5113
O  0.6475  0.1245  0.1371
O  0.5527  0.6881  0.9768
Zn  0.0015  0.0100  0.3450
O  0.1383  0.6525  0.0808
O  0.9752  0.7799  0.8121
O  0.1971  0.1764  0.0869
P  0.9933  0.7026  0.7527
O  0.6350  0.5069  0.9181
O  0.6820  0.5517  0.5230
O  0.8551  0.3166  0.5304
O  0.1971  0.0235  0.5880
O  0.5017  0.3659  0.4165
O  0.6348  0.1374  0.4187
O  0.4834  0.3301  0.7437
Nb  0.3444  0.6711  0.3118
Zn  0.9969  0.9924  0.6629
O  0.0299  0.8124  0.6968
Zn  0.6625  0.3363  0.6878
Na  0.9896  0.3472  0.7468
Na  0.7037  0.6687  0.4131
O  0.6785  0.1578  0.7436
O  0.8251  0.0322  0.8008
O  0.4821  0.3582  0.1339
O  0.8699  0.5227  0.1352
O  0.7762  0.8067  0.1928
P  0.3016  0.2984  0.7509
S  0.9593  0.6262  0.0823
Zn  0.3226  0.6631  0.0125
O  0.1940  0.9687  0.1920
O  0.5191  0.6799  0.2594
O  0.1316  0.6509  0.3626
Na  0.9667  0.6726  0.9126
Na  0.6697  0.9693  0.5866
O  0.8662  0.5080  0.4180
Na  0.2992  0.3328  0.5849
O  0.5098  0.8590  0.0819
O  0.8082  0.9763  0.4111
O  0.3130  0.8302  0.2597
O  0.9780  0.1999  0.3050
O  0.4483  0.3114  0.0244
O  0.5132  0.6539  0.8671
Zn  0.6659  0.3289  0.4810
O  0.9761  0.8027  0.0855
Na  0.2993  0.9681  0.0861
P  0.3285  0.3678  0.4194
O  0.3580  0.4950  0.0788
O  0.4842  0.1250  0.6332
O  0.8677  0.3722  0.9173
O  0.0167  0.1886  0.9087
O  0.3461  0.8561  0.8664
O  0.3092  0.4439  0.4793
O  0.8851  0.3490  0.6407
O  0.8025  0.8197  0.9136
O  0.5054  0.8553  0.3656
O  0.7672  0.9632  0.6876
S  0.6704  0.0370  0.0845
O  0.4849  0.1517  0.2466
Na  0.3156  0.6508  0.1630
O  0.3164  0.4851  0.7592
O  0.4954  0.1470  0.9185
S  0.9641  0.3362  0.5837
O  0.6522  0.5200  0.6329
O  0.9815  0.1770  0.5841
O  0.5536  0.8605  0.4782
P  0.6343  0.9655  0.4204
Zn  0.6762  0.3154  0.9800
O  0.8236  0.8073  0.5854
S  0.3703  0.3341  0.0811
O  0.5097  0.6463  0.5817
P  0.7053  0.0019  0.7477
O  0.1692  0.9781  0.9142
S  0.0399  0.6641  0.4173
O  0.0215  0.8201  0.4130
O  0.3422  0.4929  0.3660
Nb  0.3321  0.6747  0.8122
O  0.4426  0.1340  0.5240
O  0.3524  0.8612  0.5779
O  0.8101  0.7897  0.3086
O  0.1400  0.4881  0.8602
Na  0.6533  0.3122  0.8283
S  0.3680  0.0356  0.5814
O  0.2133  0.0214  0.3080
O  0.6782  0.5170  0.2464
O  0.8502  0.5130  0.7470
O  0.1819  0.2264  0.6944
P  0.2991  0.0028  0.2510
O  0.5203  0.8365  0.7599
P  0.3339  0.9660  0.9215
Na  0.9998  0.0086  0.4973
O  0.1623  0.4778  0.2571
O  0.8536  0.3286  0.2438
P  0.7103  0.7005  0.2509
O  0.1752  0.1845  0.4112
O  0.8230  0.0127  0.0894
O  0.2219  0.1982  0.8089
O  0.1430  0.6876  0.4722
Na  0.6681  0.3278  0.3273

Properties
The final energy comes out at -6.094 eV per atom. For the magnetic moment, the calculation gives 0.00 μB per formula unit. The calculation puts the formation energy from the elements at -2287 meV/atom.

---

# 2
HfIr after structural relaxation. Source: the Materials Project, functional GGA-PBE.

Unit cell a=3.6341 b=4.3951 c=4.3909 alpha=90.00 beta=90.00 gamma=90.00
Fractional positions:
Hf  0.0000  0.2500  0.2495
Ir  0.5000  0.2500  0.7497
Ir  0.5000  0.7500  0.2503
Hf  0.0000  0.7500  0.7505

Properties
The final energy comes out at -10.308 eV per atom. For the magnetic moment, the calculation gives 0.00 μB per formula unit. The calculation puts the formation energy from the elements at -910 meV/atom.

---

# 3
K2NaSb3O9 after structural relaxation. Source: the Materials Project, functional GGA-PBE.

Unit cell a=9.6287 b=9.6295 c=9.6306 alpha=90.00 beta=90.00 gamma=90.00
Fractional positions:
O  0.7115  0.0882  0.9968
O  0.3613  0.7501  0.9999
O  0.3381  0.7536  0.2890
O  0.1629  0.2479  0.2124
K  0.3488  0.1025  0.6514
K  0.6512  0.1025  0.3486
O  0.0031  0.0388  0.3376
Sb  0.0000  0.9094  0.5000
O  0.9974  0.4619  0.3375
Sb  0.5000  0.4094  0.0000
O  0.0000  0.3895  0.0000
O  0.0000  0.1122  0.0000
O  0.5000  0.8895  0.5000
O  0.7117  0.4131  0.0024
O  0.1387  0.2501  0.4999
Sb  0.0002  0.2504  0.6595
K  0.8488  0.6025  0.8486
Sb  0.1591  0.2504  0.0008
O  0.6619  0.7536  0.7110
Na  0.7580  0.5081  0.2416
Sb  0.5002  0.7504  0.8405
O  0.4969  0.5387  0.8376
O  0.4993  0.2502  0.1387
O  0.2883  0.4131  0.9976
K  0.1512  0.6025  0.1514
Sb  0.8409  0.2504  0.9992
O  0.7883  0.9131  0.5024
O  0.8371  0.2479  0.7876
O  0.0026  0.4619  0.6625
O  0.2115  0.5882  0.5032
O  0.8381  0.2536  0.2110
Sb  0.3409  0.7504  0.5008
K  0.1479  0.9017  0.8522
O  0.8613  0.2501  0.5001
O  0.9969  0.0388  0.6624
O  0.1619  0.2536  0.7890
O  0.4974  0.9619  0.1625
O  0.5031  0.5387  0.1624
O  0.5000  0.6122  0.5000
O  0.3371  0.7479  0.7124
O  0.6387  0.7501  0.0001
Sb  0.0000  0.5910  0.5000
O  0.6629  0.7479  0.2876
O  0.9993  0.7502  0.3613
Sb  0.4998  0.7504  0.1595
O  0.5007  0.2502  0.8613
Na  0.2420  0.5081  0.7584
O  0.7885  0.5882  0.4968
Sb  0.5000  0.0910  0.0000
K  0.3521  0.4017  0.3522
O  0.2885  0.0882  0.0032
Sb  0.9998  0.2504  0.3405
O  0.2117  0.9131  0.4976
K  0.8521  0.9017  0.1478
O  0.0007  0.7502  0.6387
K  0.6479  0.4017  0.6478
Na  0.7420  0.0081  0.7416
Sb  0.6591  0.7504  0.4992
O  0.5026  0.9619  0.8375
Na  0.2580  0.0081  0.2584

Properties
The final energy comes out at -5.659 eV per atom. For the magnetic moment, the calculation gives 0.00 μB per formula unit. The calculation puts the formation energy from the elements at -2040 meV/atom.

---

# 4
Sr2Sb2S5O15 after structural relaxation. Source: the Materials Project, functional GGA-PBE.

Unit cell a=9.3199 b=9.3199 c=12.7729 alpha=83.38 beta=83.38 gamma=47.40
Fractional positions:
O  0.1357  0.0535  0.9161
O  0.6225  0.4009  0.1507
O  0.3775  0.5991  0.8493
O  0.2736  0.3940  0.2870
O  0.8356  0.3977  0.9486
S  0.2842  0.7158  0.7500
O  0.0535  0.1357  0.4161
O  0.6060  0.7264  0.2130
S  0.0287  0.2336  0.9972
O  0.8474  0.7171  0.0148
O  0.6023  0.1644  0.5514
O  0.5991  0.3775  0.3493
O  0.3940  0.2736  0.7870
O  0.5246  0.9635  0.8800
O  0.1644  0.6023  0.0514
O  0.9635  0.5246  0.3800
S  0.7158  0.2842  0.2500
O  0.4754  0.0365  0.1200
Sb  0.8491  0.8953  0.2444
O  0.0927  0.8060  0.3193
Sb  0.8953  0.8491  0.7444
O  0.9073  0.1940  0.6807
Sr  0.4353  0.2766  0.9824
Sr  0.5647  0.7234  0.0176
Sr  0.2766  0.4353  0.4824
S  0.7664  0.9713  0.5028
S  0.0654  0.4941  0.2712
S  0.2336  0.0287  0.4972
O  0.7171  0.8474  0.5148
O  0.1526  0.2829  0.9852
O  0.1940  0.9073  0.1807
O  0.0365  0.4754  0.6200
O  0.7417  0.2583  0.7500
O  0.8060  0.0927  0.8193
S  0.9713  0.7664  0.0028
O  0.2829  0.1526  0.4852
S  0.9346  0.5059  0.7288
O  0.4009  0.6225  0.6507
Sb  0.1047  0.1509  0.2556
O  0.3977  0.8356  0.4486
O  0.2583  0.7417  0.2500
S  0.5059  0.9346  0.2288
O  0.9465  0.8643  0.5839
S  0.4941  0.0654  0.7712
O  0.7264  0.6060  0.7130
Sr  0.7234  0.5647  0.5176
O  0.8643  0.9465  0.0839
Sb  0.1509  0.1047  0.7556

Properties
The final energy comes out at -5.673 eV per atom. For the magnetic moment, the calculation gives 0.01 μB per formula unit. The calculation puts the formation energy from the elements at -1234 meV/atom.

---

Repeat the third record exactly.
K2NaSb3O9 after structural relaxation. Source: the Materials Project, functional GGA-PBE.

Unit cell a=9.6287 b=9.6295 c=9.6306 alpha=90.00 beta=90.00 gamma=90.00
Fractional positions:
O  0.7115  0.0882  0.9968
O  0.3613  0.7501  0.9999
O  0.3381  0.7536  0.2890
O  0.1629  0.2479  0.2124
K  0.3488  0.1025  0.6514
K  0.6512  0.1025  0.3486
O  0.0031  0.0388  0.3376
Sb  0.0000  0.9094  0.5000
O  0.9974  0.4619  0.3375
Sb  0.5000  0.4094  0.0000
O  0.0000  0.3895  0.0000
O  0.0000  0.1122  0.0000
O  0.5000  0.8895  0.5000
O  0.7117  0.4131  0.0024
O  0.1387  0.2501  0.4999
Sb  0.0002  0.2504  0.6595
K  0.8488  0.6025  0.8486
Sb  0.1591  0.2504  0.0008
O  0.6619  0.7536  0.7110
Na  0.7580  0.5081  0.2416
Sb  0.5002  0.7504  0.8405
O  0.4969  0.5387  0.8376
O  0.4993  0.2502  0.1387
O  0.2883  0.4131  0.9976
K  0.1512  0.6025  0.1514
Sb  0.8409  0.2504  0.9992
O  0.7883  0.9131  0.5024
O  0.8371  0.2479  0.7876
O  0.0026  0.4619  0.6625
O  0.2115  0.5882  0.5032
O  0.8381  0.2536  0.2110
Sb  0.3409  0.7504  0.5008
K  0.1479  0.9017  0.8522
O  0.8613  0.2501  0.5001
O  0.9969  0.0388  0.6624
O  0.1619  0.2536  0.7890
O  0.4974  0.9619  0.1625
O  0.5031  0.5387  0.1624
O  0.5000  0.6122  0.5000
O  0.3371  0.7479  0.7124
O  0.6387  0.7501  0.0001
Sb  0.0000  0.5910  0.5000
O  0.6629  0.7479  0.2876
O  0.9993  0.7502  0.3613
Sb  0.4998  0.7504  0.1595
O  0.5007  0.2502  0.8613
Na  0.2420  0.5081  0.7584
O  0.7885  0.5882  0.4968
Sb  0.5000  0.0910  0.0000
K  0.3521  0.4017  0.3522
O  0.2885  0.0882  0.0032
Sb  0.9998  0.2504  0.3405
O  0.2117  0.9131  0.4976
K  0.8521  0.9017  0.1478
O  0.0007  0.7502  0.6387
K  0.6479  0.4017  0.6478
Na  0.7420  0.0081  0.7416
Sb  0.6591  0.7504  0.4992
O  0.5026  0.9619  0.8375
Na  0.2580  0.0081  0.2584

Properties
The final energy comes out at -5.659 eV per atom. For the magnetic moment, the calculation gives 0.00 μB per formula unit. The calculation puts the formation energy from the elements at -2040 meV/atom.

---

Question: Which of these has the lowest final energy?
Answer: HfIr

---

Question: What is the magnetic moment in the third record?
Answer: 0.00 μB per formula unit

---

Repeat the third record exactly.
K2NaSb3O9 after structural relaxation. Source: the Materials Project, functional GGA-PBE.

Unit cell a=9.6287 b=9.6295 c=9.6306 alpha=90.00 beta=90.00 gamma=90.00
Fractional positions:
O  0.7115  0.0882  0.9968
O  0.3613  0.7501  0.9999
O  0.3381  0.7536  0.2890
O  0.1629  0.2479  0.2124
K  0.3488  0.1025  0.6514
K  0.6512  0.1025  0.3486
O  0.0031  0.0388  0.3376
Sb  0.0000  0.9094  0.5000
O  0.9974  0.4619  0.3375
Sb  0.5000  0.4094  0.0000
O  0.0000  0.3895  0.0000
O  0.0000  0.1122  0.0000
O  0.5000  0.8895  0.5000
O  0.7117  0.4131  0.0024
O  0.1387  0.2501  0.4999
Sb  0.0002  0.2504  0.6595
K  0.8488  0.6025  0.8486
Sb  0.1591  0.2504  0.0008
O  0.6619  0.7536  0.7110
Na  0.7580  0.5081  0.2416
Sb  0.5002  0.7504  0.8405
O  0.4969  0.5387  0.8376
O  0.4993  0.2502  0.1387
O  0.2883  0.4131  0.9976
K  0.1512  0.6025  0.1514
Sb  0.8409  0.2504  0.9992
O  0.7883  0.9131  0.5024
O  0.8371  0.2479  0.7876
O  0.0026  0.4619  0.6625
O  0.2115  0.5882  0.5032
O  0.8381  0.2536  0.2110
Sb  0.3409  0.7504  0.5008
K  0.1479  0.9017  0.8522
O  0.8613  0.2501  0.5001
O  0.9969  0.0388  0.6624
O  0.1619  0.2536  0.7890
O  0.4974  0.9619  0.1625
O  0.5031  0.5387  0.1624
O  0.5000  0.6122  0.5000
O  0.3371  0.7479  0.7124
O  0.6387  0.7501  0.0001
Sb  0.0000  0.5910  0.5000
O  0.6629  0.7479  0.2876
O  0.9993  0.7502  0.3613
Sb  0.4998  0.7504  0.1595
O  0.5007  0.2502  0.8613
Na  0.2420  0.5081  0.7584
O  0.7885  0.5882  0.4968
Sb  0.5000  0.0910  0.0000
K  0.3521  0.4017  0.3522
O  0.2885  0.0882  0.0032
Sb  0.9998  0.2504  0.3405
O  0.2117  0.9131  0.4976
K  0.8521  0.9017  0.1478
O  0.0007  0.7502  0.6387
K  0.6479  0.4017  0.6478
Na  0.7420  0.0081  0.7416
Sb  0.6591  0.7504  0.4992
O  0.5026  0.9619  0.8375
Na  0.2580  0.0081  0.2584

Properties
The final energy comes out at -5.659 eV per atom. For the magnetic moment, the calculation gives 0.00 μB per formula unit. The calculation puts the formation energy from the elements at -2040 meV/atom.